[1]
Material: Na7CaGa3Si3S3O24
Method: DFT, PBE
State: relaxed

```
data_Na7CaGa3Si3S3O24
_chemical_formula_sum 'Na21 Ca3 Ga9 Si9 S9 O72'
_cell_length_a 9.055
_cell_length_b 9.055
_cell_length_c 22.211
_cell_angle_alpha 90.75
_cell_angle_beta 90.06
_cell_angle_gamma 119.86
_space_group_name_H-M_alt 'P 1'
_space_group_IT_number 1
loop_
_space_group_symop_operation_xyz
'x,y,z'
loop_
_atom_site_label
_atom_site_type_symbol
_atom_site_fract_x
_atom_site_fract_y
_atom_site_fract_z
_atom_site_occupancy
Na1 Na 0.000 0.000 0.000 1
Na2 Na 0.000 0.734 0.501 1
Na3 Na 0.009 0.369 0.244 1
Na4 Na 0.017 0.360 0.749 1
Na5 Na 0.045 0.086 0.325 1
Na6 Na 0.051 0.723 0.840 1
Na7 Na 0.289 0.334 0.826 1
Na8 Na 0.303 0.703 0.327 1
Na9 Na 0.322 0.400 0.171 1
Na10 Na 0.327 0.035 0.917 1
Na11 Na 0.333 0.670 0.666 1
Na12 Na 0.342 0.056 0.416 1
Na13 Na 0.365 0.745 0.999 1
Na14 Na 0.388 0.393 0.499 1
Na15 Na 0.629 0.006 0.498 1
Na16 Na 0.653 0.346 0.337 1
Na17 Na 0.661 0.700 0.584 1
Na18 Na 0.663 0.064 0.835 1
Na19 Na 0.674 0.714 0.085 1
Na20 Na 0.690 0.408 0.661 1
Na21 Na 0.979 0.685 0.165 1
Ca1 Ca 0.325 0.043 0.767 1
Ca2 Ca 0.327 0.043 0.258 1
Ca3 Ca 0.662 0.701 0.437 1
Ga1 Ga 0.019 0.385 0.898 1
Ga2 Ga 0.020 0.387 0.597 1
Ga3 Ga 0.020 0.400 0.404 1
Ga4 Ga 0.292 0.994 0.073 1
Ga5 Ga 0.360 0.066 0.563 1
Ga6 Ga 0.645 0.717 0.226 1
Ga7 Ga 0.651 0.709 0.737 1
Ga8 Ga 0.685 0.716 0.932 1
Ga9 Ga 0.998 0.382 0.101 1
Si1 Si 0.018 0.044 0.165 1
Si2 Si 0.294 0.684 0.504 1
Si3 Si 0.331 0.345 0.666 1
Si4 Si 0.331 0.736 0.164 1
Si5 Si 0.364 0.411 0.334 1
Si6 Si 0.379 0.703 0.839 1
Si7 Si 0.722 0.371 0.502 1
Si8 Si 0.950 0.001 0.836 1
Si9 Si 0.989 0.657 0.999 1
S1 S 0.010 0.094 0.501 1
S2 S 0.030 0.741 0.664 1
S3 S 0.297 0.374 0.000 1
S4 S 0.632 0.337 0.164 1
S5 S 0.639 0.044 0.665 1
S6 S 0.675 0.425 0.834 1
S7 S 0.676 0.011 0.333 1
S8 S 0.708 0.090 0.999 1
S9 S 0.962 0.704 0.333 1
O1 O 0.004 0.213 0.150 1
O2 O 0.009 0.565 0.659 1
O3 O 0.031 0.574 0.939 1
O4 O 0.034 0.193 0.445 1
O5 O 0.111 0.002 0.107 1
O6 O 0.116 0.846 0.611 1
O7 O 0.135 0.101 0.225 1
O8 O 0.135 0.811 0.719 1
O9 O 0.138 0.851 0.329 1
O10 O 0.141 0.030 0.835 1
O11 O 0.159 0.547 0.155 1
O12 O 0.163 0.371 0.657 1
O13 O 0.165 0.077 0.506 1
O14 O 0.168 0.854 0.004 1
O15 O 0.170 0.398 0.340 1
O16 O 0.177 0.604 0.442 1
O17 O 0.186 0.530 0.840 1
O18 O 0.187 0.340 0.944 1
O19 O 0.208 0.555 0.560 1
O20 O 0.215 0.403 0.053 1
O21 O 0.291 0.800 0.227 1
O22 O 0.299 0.870 0.512 1
O23 O 0.305 0.249 0.728 1
O24 O 0.313 0.220 0.005 1
O25 O 0.341 0.221 0.331 1
O26 O 0.364 0.874 0.837 1
O27 O 0.369 0.862 0.106 1
O28 O 0.370 0.250 0.607 1
O29 O 0.451 0.666 0.775 1
O30 O 0.461 0.540 0.275 1
O31 O 0.465 0.532 0.994 1
O32 O 0.470 0.485 0.396 1
O33 O 0.486 0.715 0.503 1
O34 O 0.497 0.708 0.166 1
O35 O 0.499 0.723 0.897 1
O36 O 0.512 0.245 0.113 1
O37 O 0.514 0.539 0.670 1
O38 O 0.522 0.029 0.328 1
O39 O 0.523 0.013 0.611 1
O40 O 0.525 0.252 0.830 1
O41 O 0.527 0.200 0.503 1
O42 O 0.536 0.070 0.004 1
O43 O 0.565 0.073 0.720 1
O44 O 0.572 0.250 0.222 1
O45 O 0.645 0.506 0.887 1
O46 O 0.648 0.885 0.668 1
O47 O 0.650 0.512 0.168 1
O48 O 0.655 0.917 0.389 1
O49 O 0.689 0.914 0.997 1
O50 O 0.700 0.526 0.778 1
O51 O 0.700 0.922 0.281 1
O52 O 0.707 0.542 0.504 1
O53 O 0.788 0.186 0.943 1
O54 O 0.806 0.337 0.440 1
O55 O 0.806 0.361 0.156 1
O56 O 0.807 0.198 0.658 1
O57 O 0.823 0.174 0.051 1
O58 O 0.824 0.905 0.777 1
O59 O 0.825 0.691 0.994 1
O60 O 0.831 0.410 0.839 1
O61 O 0.832 0.183 0.335 1
O62 O 0.832 0.384 0.562 1
O63 O 0.842 0.856 0.175 1
O64 O 0.856 0.685 0.279 1
O65 O 0.858 0.722 0.670 1
O66 O 0.859 0.921 0.497 1
O67 O 0.873 0.885 0.896 1
O68 O 0.892 0.734 0.389 1
O69 O 0.961 0.192 0.842 1
O70 O 0.968 0.540 0.336 1
O71 O 0.970 0.548 0.059 1
O72 O 0.981 0.174 0.554 1
```


[2]
Material: NaCaGaSi2O7
Method: DFT, PBE
State: relaxed

```
data_NaCaGaSi2O7
_chemical_formula_sum 'Na4 Ca4 Ga4 Si8 O28'
_cell_length_a 7.786
_cell_length_b 7.794
_cell_length_c 10.238
_cell_angle_alpha 90.00
_cell_angle_beta 90.00
_cell_angle_gamma 90.00
_space_group_name_H-M_alt 'P 21 21 21'
_space_group_IT_number 19
loop_
_space_group_symop_operation_xyz
'x,y,z'
'-x+1/2,-y,z+1/2'
'x+1/2,-y+1/2,-z'
'-x,y+1/2,-z+1/2'
loop_
_atom_site_label
_atom_site_type_symbol
_atom_site_fract_x
_atom_site_fract_y
_atom_site_fract_z
_atom_site_occupancy
Na1 Na 0.081 0.164 0.245 1
Ca1 Ca 0.098 0.160 0.741 1
Ga1 Ga 0.247 0.500 0.000 1
Si1 Si 0.104 0.858 0.473 1
Si2 Si 0.113 0.859 0.975 1
O1 O 0.070 0.414 0.597 1
O2 O 0.074 0.413 0.103 1
O3 O 0.090 0.858 0.630 1
O4 O 0.124 0.851 0.131 1
O5 O 0.159 0.677 0.898 1
O6 O 0.167 0.679 0.401 1
O7 O 0.249 0.004 0.914 1
```

Values from the calculation:
As for the relative energy among the computed polymorphs: 5 meV per atom.


[3]
Material: NaCaGaSi2O7
Method: DFT, PBE
State: relaxed

```
data_NaCaGaSi2O7
_chemical_formula_sum 'Na4 Ca4 Ga4 Si8 O28'
_cell_length_a 7.265
_cell_length_b 9.574
_cell_length_c 10.823
_cell_angle_alpha 90.00
_cell_angle_beta 90.00
_cell_angle_gamma 90.00
_space_group_name_H-M_alt 'P 21 21 21'
_space_group_IT_number 19
loop_
_space_group_symop_operation_xyz
'x,y,z'
'-x+1/2,-y,z+1/2'
'x+1/2,-y+1/2,-z'
'-x,y+1/2,-z+1/2'
loop_
_atom_site_label
_atom_site_type_symbol
_atom_site_fract_x
_atom_site_fract_y
_atom_site_fract_z
_atom_site_occupancy
Na1 Na 0.142 0.016 0.339 1
Ca1 Ca 0.178 0.392 0.751 1
Ga1 Ga 0.212 0.142 0.054 1
Si1 Si 0.010 0.336 0.395 1
Si2 Si 0.047 0.640 0.891 1
O1 O 0.007 0.293 0.546 1
O2 O 0.018 0.994 0.553 1
O3 O 0.039 0.048 0.830 1
O4 O 0.044 0.175 0.750 1
O5 O 0.062 0.702 0.180 1
O6 O 0.092 0.982 0.131 1
O7 O 0.230 0.371 0.362 1
```

Values from the calculation:
As for the relative energy among the computed polymorphs: 653 meV per atom.


[4]
Material: NaCaGaSi2O7
Method: DFT, PBE
State: relaxed

```
data_NaCaGaSi2O7
_chemical_formula_sum 'Na2 Ca2 Ga2 Si4 O14'
_cell_length_a 5.113
_cell_length_b 7.795
_cell_length_c 7.818
_cell_angle_alpha 90.00
_cell_angle_beta 91.58
_cell_angle_gamma 90.00
_space_group_name_H-M_alt 'P 1 21 1'
_space_group_IT_number 4
loop_
_space_group_symop_operation_xyz
'x,y,z'
'-x,y+1/2,-z'
loop_
_atom_site_label
_atom_site_type_symbol
_atom_site_fract_x
_atom_site_fract_y
_atom_site_fract_z
_atom_site_occupancy
Na1 Na 0.009 0.000 0.421 1
Ca1 Ca 0.017 0.677 0.098 1
Ga1 Ga 0.498 0.836 0.749 1
Si1 Si 0.449 0.196 0.614 1
Si2 Si 0.449 0.477 0.896 1
O1 O 0.239 0.687 0.371 1
O2 O 0.239 0.977 0.085 1
O3 O 0.290 0.418 0.070 1
O4 O 0.294 0.019 0.675 1
O5 O 0.306 0.662 0.847 1
O6 O 0.315 0.246 0.427 1
O7 O 0.324 0.341 0.750 1
```

Values from the calculation:
As for the relative energy among the computed polymorphs: 0 meV per atom.


[5]
Material: NaCaGaSi2O7
Method: DFT, PBE
State: relaxed

```
data_NaCaGaSi2O7
_chemical_formula_sum 'Na4 Ca4 Ga4 Si8 O28'
_cell_length_a 7.228
_cell_length_b 9.469
_cell_length_c 10.555
_cell_angle_alpha 90.00
_cell_angle_beta 90.00
_cell_angle_gamma 90.00
_space_group_name_H-M_alt 'P 21 21 21'
_space_group_IT_number 19
loop_
_space_group_symop_operation_xyz
'x,y,z'
'-x+1/2,-y,z+1/2'
'x+1/2,-y+1/2,-z'
'-x,y+1/2,-z+1/2'
loop_
_atom_site_label
_atom_site_type_symbol
_atom_site_fract_x
_atom_site_fract_y
_atom_site_fract_z
_atom_site_occupancy
Na1 Na 0.143 0.013 0.319 1
Ca1 Ca 0.221 0.389 0.770 1
Ga1 Ga 0.149 0.141 0.021 1
Si1 Si 0.019 0.136 0.609 1
Si2 Si 0.076 0.339 0.398 1
O1 O 0.005 0.501 0.377 1
O2 O 0.027 0.720 0.182 1
O3 O 0.041 0.035 0.836 1
O4 O 0.079 0.994 0.538 1
O5 O 0.084 0.291 0.551 1
O6 O 0.115 0.153 0.755 1
O7 O 0.203 0.640 0.856 1
```

Values from the calculation:
As for the relative energy among the computed polymorphs: 632 meV per atom.


[6]
Material: Ca3NbGa3Si2O14
Method: DFT, PBE
State: relaxed

```
data_Ca3NbGa3Si2O14
_chemical_formula_sum 'Ca3 Nb1 Ga3 Si2 O14'
_cell_length_a 8.2044
_cell_length_b 8.2044
_cell_length_c 5.0376
_cell_angle_alpha 90.00
_cell_angle_beta 90.00
_cell_angle_gamma 120.00
_space_group_name_H-M_alt 'P 3 2 1'
_space_group_IT_number 150
loop_
_space_group_symop_operation_xyz
'x,y,z'
'-y,x-y,z'
'-x+y,-x,z'
'y,x,-z'
'x-y,-y,-z'
'-x,-x+y,-z'
loop_
_atom_site_label
_atom_site_type_symbol
_atom_site_fract_x
_atom_site_fract_y
_atom_site_fract_z
_atom_site_occupancy
Ca1 Ca 0.0000 0.5739 0.0000 1
Nb1 Nb 0.0000 0.0000 0.0000 1
Ga1 Ga 0.0000 0.2537 0.5000 1
Si1 Si 0.3333 0.6667 0.5434 1
O1 O 0.0830 0.8571 0.2369 1
O2 O 0.1555 0.4776 0.6847 1
O3 O 0.3333 0.6667 0.2235 1
```


Number 1: ΔH_f (0 K) -2.389 eV/atom, M_tot 0.00 μB/f.u.. Number 2: ΔH_f (0 K) -3.010 eV/atom, M_tot 0.00 μB/f.u.. Number 3: ΔH_f (0 K) -2.361 eV/atom, M_tot 0.00 μB/f.u.. Number 4: ΔH_f (0 K) -3.014 eV/atom, M_tot 0.00 μB/f.u.. Number 5: ΔH_f (0 K) -2.383 eV/atom, M_tot 0.00 μB/f.u.. Number 6: ΔH_f (0 K) -3.028 eV/atom, M_tot 0.00 μB/f.u..